Computed, not measured: crystalline Ho5Si10Ir4 at its relaxed geometry at the PBE-GGA level of DFT.

Cell: 12.6177 12.6177 4.2601 Å, 90.00 90.00 90.00°
With the nearest neighbours (Å) after each atom.
Atoms (fractional coordinates):
Ho: 0.0000 0.0000 0.0000  8 Si 2.91, 4 Ir 3.11
Ho: 0.1161 0.3839 0.5000  10 Si 3.19-3.24, 4 Ir 3.25
Ho: 0.1755 0.6755 0.5000  8 Si 2.89-3.03, 4 Ir 3.06
Ho: 0.3245 0.1755 0.5000  8 Si 2.89-3.03, 4 Ir 3.06
Ho: 0.3839 0.8839 0.5000  10 Si 3.19-3.24, 4 Ir 3.25
Ho: 0.5000 0.5000 0.0000  8 Si 2.91, 4 Ir 3.11
Ho: 0.6161 0.1161 0.5000  10 Si 3.19-3.24, 4 Ir 3.25
Ho: 0.6755 0.8245 0.5000  8 Si 2.89-3.03, 4 Ir 3.06
Ho: 0.8245 0.3245 0.5000  8 Si 2.89-3.03, 4 Ir 3.06
Ho: 0.8839 0.6161 0.5000  10 Si 3.19-3.24, 4 Ir 3.25
Si: 0.0035 0.8435 0.5000  2 Ir 2.42
Si: 0.0657 0.5657 0.0000  1 Si 2.34, 2 Ir 2.45
Si: 0.1565 0.0035 0.5000  2 Ir 2.42
Si: 0.1638 0.2007 0.0000  2 Ir 2.39-2.50, 1 Si 2.42
Si: 0.2007 0.8362 0.0000  2 Ir 2.39-2.50, 1 Si 2.42
Si: 0.2993 0.3362 0.0000  2 Ir 2.39-2.50, 1 Si 2.42
Si: 0.3362 0.7007 0.0000  2 Ir 2.39-2.50, 1 Si 2.42
Si: 0.3435 0.5035 0.5000  2 Ir 2.42
Si: 0.4343 0.0657 0.0000  1 Si 2.34, 2 Ir 2.45
Si: 0.4965 0.3435 0.5000  2 Ir 2.42
Si: 0.5035 0.6565 0.5000  2 Ir 2.42
Si: 0.5657 0.9343 0.0000  1 Si 2.34, 2 Ir 2.45
Si: 0.6565 0.4965 0.5000  2 Ir 2.42
Si: 0.6638 0.2993 0.0000  2 Ir 2.39-2.50, 1 Si 2.42
Si: 0.7007 0.6638 0.0000  2 Ir 2.39-2.50, 1 Si 2.42
Si: 0.7993 0.1638 0.0000  2 Ir 2.39-2.50, 1 Si 2.42
Si: 0.8362 0.7993 0.0000  2 Ir 2.39-2.50, 1 Si 2.42
Si: 0.8435 0.9965 0.5000  2 Ir 2.42
Si: 0.9343 0.4343 0.0000  1 Si 2.34, 2 Ir 2.45
Si: 0.9965 0.1565 0.5000  2 Ir 2.42
Ir: 0.0204 0.7543 0.0000  5 Si 2.39-2.50
Ir: 0.2457 0.0204 0.0000  5 Si 2.39-2.50
Ir: 0.2543 0.5204 0.0000  5 Si 2.39-2.50
Ir: 0.4796 0.2543 0.0000  5 Si 2.39-2.50
Ir: 0.5204 0.7457 0.0000  5 Si 2.39-2.50
Ir: 0.7457 0.4796 0.0000  5 Si 2.39-2.50
Ir: 0.7543 0.9796 0.0000  5 Si 2.39-2.50
Ir: 0.9796 0.2457 0.0000  5 Si 2.39-2.50

Energy of formation from the pure elements (eV per atom): -0.8946

Computed, not measured: crystalline HoSi3Ir at its relaxed geometry at the PBE-GGA level of DFT.

Cell: 4.1816 4.1816 9.8329 Å, 90.00 90.00 90.00°
With the nearest neighbours (Å) after each atom.
Atoms (fractional coordinates):
Ho: 0.0000 0.0000 0.0000  12 Si 3.07-3.36, 5 Ir 3.32-3.40
Ho: 0.5000 0.5000 0.5000  12 Si 3.07-3.36, 5 Ir 3.32-3.40
Si: 0.0000 0.0000 0.4174  1 Ir 2.33, 4 Si 2.56
Si: 0.0000 0.5000 0.2677  2 Ir 2.37, 2 Si 2.56
Si: 0.0000 0.5000 0.7677  2 Ir 2.37, 2 Si 2.56
Si: 0.5000 0.0000 0.2677  2 Ir 2.37, 2 Si 2.56
Si: 0.5000 0.0000 0.7677  2 Ir 2.37, 2 Si 2.56
Si: 0.5000 0.5000 0.9174  1 Ir 2.33, 4 Si 2.56
Ir: 0.0000 0.0000 0.6544  5 Si 2.33-2.37
Ir: 0.5000 0.5000 0.1544  5 Si 2.33-2.37

Energy of formation from the pure elements (eV per atom): -0.7737

Computed, not measured: crystalline HoSi2Ir2 at its relaxed geometry at the PBE-GGA level of DFT.

Cell: 4.1221 4.1221 9.8692 Å, 90.00 90.00 90.00°
With the nearest neighbours (Å) after each atom.
Atoms (fractional coordinates):
Ho: 0.2500 0.2500 0.2455  8 Ir 3.13-3.25, 8 Si 3.16-3.18
Ho: 0.7500 0.7500 0.7545  8 Ir 3.13-3.25, 8 Si 3.16-3.18
Si: 0.2500 0.2500 0.6313  5 Ir 2.37-2.43
Si: 0.2500 0.7500 0.0000  4 Ir 2.42
Si: 0.7500 0.2500 0.0000  4 Ir 2.42
Si: 0.7500 0.7500 0.3687  5 Ir 2.37-2.43
Ir: 0.2500 0.2500 0.8711  5 Si 2.37-2.42
Ir: 0.2500 0.7500 0.5000  4 Si 2.43
Ir: 0.7500 0.2500 0.5000  4 Si 2.43
Ir: 0.7500 0.7500 0.1289  5 Si 2.37-2.42

Energy of formation from the pure elements (eV per atom): -1.0603

Computed, not measured: crystalline HoSi2Ir2 at its relaxed geometry at the PBE-GGA level of DFT.

Cell: 4.0806 4.0806 9.9511 Å, 90.00 90.00 90.00°
With the nearest neighbours (Å) after each atom.
Atoms (fractional coordinates):
Ho: 0.0000 0.0000 0.0000  8 Si 3.13, 8 Ir 3.22
Ho: 0.5000 0.5000 0.5000  8 Si 3.13, 8 Ir 3.22
Si: 0.0000 0.0000 0.3791  1 Si 2.41, 4 Ir 2.41
Si: 0.0000 0.0000 0.6209  1 Si 2.41, 4 Ir 2.41
Si: 0.5000 0.5000 0.1209  1 Si 2.41, 4 Ir 2.41
Si: 0.5000 0.5000 0.8791  1 Si 2.41, 4 Ir 2.41
Ir: 0.0000 0.5000 0.2500  4 Si 2.41
Ir: 0.0000 0.5000 0.7500  4 Si 2.41
Ir: 0.5000 0.0000 0.2500  4 Si 2.41
Ir: 0.5000 0.0000 0.7500  4 Si 2.41

Energy of formation from the pure elements (eV per atom): -1.0895

Computed, not measured: crystalline SmHoIr2 at its relaxed geometry at the PBE-GGA level of DFT.

Cell: 6.9221 6.9221 6.9221 Å, 90.00 90.00 90.00°
With the nearest neighbours (Å) after each atom.
Atoms (fractional coordinates):
Sm: 0.0000 0.0000 0.0000  8 Ir 3.00
Sm: 0.0000 0.5000 0.5000  8 Ir 3.00
Sm: 0.5000 0.0000 0.5000  8 Ir 3.00
Sm: 0.5000 0.5000 0.0000  8 Ir 3.00
Ho: 0.0000 0.0000 0.5000  8 Ir 3.00
Ho: 0.0000 0.5000 0.0000  8 Ir 3.00
Ho: 0.5000 0.0000 0.0000  8 Ir 3.00
Ho: 0.5000 0.5000 0.5000  8 Ir 3.00
Ir: 0.2500 0.2500 0.2500  4 Ho 3.00, 4 Sm 3.00
Ir: 0.2500 0.2500 0.7500  4 Ho 3.00, 4 Sm 3.00
Ir: 0.2500 0.7500 0.2500  4 Ho 3.00, 4 Sm 3.00
Ir: 0.2500 0.7500 0.7500  4 Ho 3.00, 4 Sm 3.00
Ir: 0.7500 0.2500 0.2500  4 Ho 3.00, 4 Sm 3.00
Ir: 0.7500 0.2500 0.7500  4 Ho 3.00, 4 Sm 3.00
Ir: 0.7500 0.7500 0.2500  4 Ho 3.00, 4 Sm 3.00
Ir: 0.7500 0.7500 0.7500  4 Ho 3.00, 4 Sm 3.00

Energy of formation from the pure elements (eV per atom): -0.7505

Computed, not measured: crystalline TbHoIr2 at its relaxed geometry at the PBE-GGA level of DFT.

Cell: 6.8590 6.8590 6.8590 Å, 90.00 90.00 90.00°
With the nearest neighbours (Å) after each atom.
Atoms (fractional coordinates):
Tb: 0.0000 0.0000 0.0000  8 Ir 2.97
Tb: 0.0000 0.5000 0.5000  8 Ir 2.97
Tb: 0.5000 0.0000 0.5000  8 Ir 2.97
Tb: 0.5000 0.5000 0.0000  8 Ir 2.97
Ho: 0.0000 0.0000 0.5000  8 Ir 2.97
Ho: 0.0000 0.5000 0.0000  8 Ir 2.97
Ho: 0.5000 0.0000 0.0000  8 Ir 2.97
Ho: 0.5000 0.5000 0.5000  8 Ir 2.97
Ir: 0.2500 0.2500 0.2500  4 Tb 2.97, 4 Ho 2.97
Ir: 0.2500 0.2500 0.7500  4 Tb 2.97, 4 Ho 2.97
Ir: 0.2500 0.7500 0.2500  4 Tb 2.97, 4 Ho 2.97
Ir: 0.2500 0.7500 0.7500  4 Tb 2.97, 4 Ho 2.97
Ir: 0.7500 0.2500 0.2500  4 Tb 2.97, 4 Ho 2.97
Ir: 0.7500 0.2500 0.7500  4 Tb 2.97, 4 Ho 2.97
Ir: 0.7500 0.7500 0.2500  4 Tb 2.97, 4 Ho 2.97
Ir: 0.7500 0.7500 0.7500  4 Tb 2.97, 4 Ho 2.97

Energy of formation from the pure elements (eV per atom): -0.8324

energy of formation from the pure elements of number 5 (SmHoIr2)? -0.7505 eV per atom

Look up the energy of formation from the pure elements of the first one. -0.8946 eV per atom

Please write out number 1 again, unchanged.
Computed, not measured: crystalline Ho5Si10Ir4 at its relaxed geometry at the PBE-GGA level of DFT.

Cell: 12.6177 12.6177 4.2601 Å, 90.00 90.00 90.00°
With the nearest neighbours (Å) after each atom.
Atoms (fractional coordinates):
Ho: 0.0000 0.0000 0.0000  8 Si 2.91, 4 Ir 3.11
Ho: 0.1161 0.3839 0.5000  10 Si 3.19-3.24, 4 Ir 3.25
Ho: 0.1755 0.6755 0.5000  8 Si 2.89-3.03, 4 Ir 3.06
Ho: 0.3245 0.1755 0.5000  8 Si 2.89-3.03, 4 Ir 3.06
Ho: 0.3839 0.8839 0.5000  10 Si 3.19-3.24, 4 Ir 3.25
Ho: 0.5000 0.5000 0.0000  8 Si 2.91, 4 Ir 3.11
Ho: 0.6161 0.1161 0.5000  10 Si 3.19-3.24, 4 Ir 3.25
Ho: 0.6755 0.8245 0.5000  8 Si 2.89-3.03, 4 Ir 3.06
Ho: 0.8245 0.3245 0.5000  8 Si 2.89-3.03, 4 Ir 3.06
Ho: 0.8839 0.6161 0.5000  10 Si 3.19-3.24, 4 Ir 3.25
Si: 0.0035 0.8435 0.5000  2 Ir 2.42
Si: 0.0657 0.5657 0.0000  1 Si 2.34, 2 Ir 2.45
Si: 0.1565 0.0035 0.5000  2 Ir 2.42
Si: 0.1638 0.2007 0.0000  2 Ir 2.39-2.50, 1 Si 2.42
Si: 0.2007 0.8362 0.0000  2 Ir 2.39-2.50, 1 Si 2.42
Si: 0.2993 0.3362 0.0000  2 Ir 2.39-2.50, 1 Si 2.42
Si: 0.3362 0.7007 0.0000  2 Ir 2.39-2.50, 1 Si 2.42
Si: 0.3435 0.5035 0.5000  2 Ir 2.42
Si: 0.4343 0.0657 0.0000  1 Si 2.34, 2 Ir 2.45
Si: 0.4965 0.3435 0.5000  2 Ir 2.42
Si: 0.5035 0.6565 0.5000  2 Ir 2.42
Si: 0.5657 0.9343 0.0000  1 Si 2.34, 2 Ir 2.45
Si: 0.6565 0.4965 0.5000  2 Ir 2.42
Si: 0.6638 0.2993 0.0000  2 Ir 2.39-2.50, 1 Si 2.42
Si: 0.7007 0.6638 0.0000  2 Ir 2.39-2.50, 1 Si 2.42
Si: 0.7993 0.1638 0.0000  2 Ir 2.39-2.50, 1 Si 2.42
Si: 0.8362 0.7993 0.0000  2 Ir 2.39-2.50, 1 Si 2.42
Si: 0.8435 0.9965 0.5000  2 Ir 2.42
Si: 0.9343 0.4343 0.0000  1 Si 2.34, 2 Ir 2.45
Si: 0.9965 0.1565 0.5000  2 Ir 2.42
Ir: 0.0204 0.7543 0.0000  5 Si 2.39-2.50
Ir: 0.2457 0.0204 0.0000  5 Si 2.39-2.50
Ir: 0.2543 0.5204 0.0000  5 Si 2.39-2.50
Ir: 0.4796 0.2543 0.0000  5 Si 2.39-2.50
Ir: 0.5204 0.7457 0.0000  5 Si 2.39-2.50
Ir: 0.7457 0.4796 0.0000  5 Si 2.39-2.50
Ir: 0.7543 0.9796 0.0000  5 Si 2.39-2.50
Ir: 0.9796 0.2457 0.0000  5 Si 2.39-2.50

Energy of formation from the pure elements (eV per atom): -0.8946

Copy entry 1 word for word.
Computed, not measured: crystalline Ho5Si10Ir4 at its relaxed geometry at the PBE-GGA level of DFT.

Cell: 12.6177 12.6177 4.2601 Å, 90.00 90.00 90.00°
With the nearest neighbours (Å) after each atom.
Atoms (fractional coordinates):
Ho: 0.0000 0.0000 0.0000  8 Si 2.91, 4 Ir 3.11
Ho: 0.1161 0.3839 0.5000  10 Si 3.19-3.24, 4 Ir 3.25
Ho: 0.1755 0.6755 0.5000  8 Si 2.89-3.03, 4 Ir 3.06
Ho: 0.3245 0.1755 0.5000  8 Si 2.89-3.03, 4 Ir 3.06
Ho: 0.3839 0.8839 0.5000  10 Si 3.19-3.24, 4 Ir 3.25
Ho: 0.5000 0.5000 0.0000  8 Si 2.91, 4 Ir 3.11
Ho: 0.6161 0.1161 0.5000  10 Si 3.19-3.24, 4 Ir 3.25
Ho: 0.6755 0.8245 0.5000  8 Si 2.89-3.03, 4 Ir 3.06
Ho: 0.8245 0.3245 0.5000  8 Si 2.89-3.03, 4 Ir 3.06
Ho: 0.8839 0.6161 0.5000  10 Si 3.19-3.24, 4 Ir 3.25
Si: 0.0035 0.8435 0.5000  2 Ir 2.42
Si: 0.0657 0.5657 0.0000  1 Si 2.34, 2 Ir 2.45
Si: 0.1565 0.0035 0.5000  2 Ir 2.42
Si: 0.1638 0.2007 0.0000  2 Ir 2.39-2.50, 1 Si 2.42
Si: 0.2007 0.8362 0.0000  2 Ir 2.39-2.50, 1 Si 2.42
Si: 0.2993 0.3362 0.0000  2 Ir 2.39-2.50, 1 Si 2.42
Si: 0.3362 0.7007 0.0000  2 Ir 2.39-2.50, 1 Si 2.42
Si: 0.3435 0.5035 0.5000  2 Ir 2.42
Si: 0.4343 0.0657 0.0000  1 Si 2.34, 2 Ir 2.45
Si: 0.4965 0.3435 0.5000  2 Ir 2.42
Si: 0.5035 0.6565 0.5000  2 Ir 2.42
Si: 0.5657 0.9343 0.0000  1 Si 2.34, 2 Ir 2.45
Si: 0.6565 0.4965 0.5000  2 Ir 2.42
Si: 0.6638 0.2993 0.0000  2 Ir 2.39-2.50, 1 Si 2.42
Si: 0.7007 0.6638 0.0000  2 Ir 2.39-2.50, 1 Si 2.42
Si: 0.7993 0.1638 0.0000  2 Ir 2.39-2.50, 1 Si 2.42
Si: 0.8362 0.7993 0.0000  2 Ir 2.39-2.50, 1 Si 2.42
Si: 0.8435 0.9965 0.5000  2 Ir 2.42
Si: 0.9343 0.4343 0.0000  1 Si 2.34, 2 Ir 2.45
Si: 0.9965 0.1565 0.5000  2 Ir 2.42
Ir: 0.0204 0.7543 0.0000  5 Si 2.39-2.50
Ir: 0.2457 0.0204 0.0000  5 Si 2.39-2.50
Ir: 0.2543 0.5204 0.0000  5 Si 2.39-2.50
Ir: 0.4796 0.2543 0.0000  5 Si 2.39-2.50
Ir: 0.5204 0.7457 0.0000  5 Si 2.39-2.50
Ir: 0.7457 0.4796 0.0000  5 Si 2.39-2.50
Ir: 0.7543 0.9796 0.0000  5 Si 2.39-2.50
Ir: 0.9796 0.2457 0.0000  5 Si 2.39-2.50

Energy of formation from the pure elements (eV per atom): -0.8946